Entry 1:
Compound: Ba2PuMnO6
Source: the Materials Project
Functional: GGA+U
Structure: optimized geometry

abc: 6.007 6.007 6.007
angles: 60.00 60.00 60.00
Element x y z (fractional)
O (0.254, 0.254, 0.746)
O (0.746, 0.746, 0.254)
O (0.254, 0.746, 0.254)
O (0.746, 0.254, 0.254)
O (0.746, 0.254, 0.746)
O (0.254, 0.746, 0.746)
Mn (0.000, 0.000, 0.000)
Pu (0.500, 0.500, 0.500)
Ba (0.250, 0.250, 0.250)
Ba (0.750, 0.750, 0.750)


Entry 2:
Compound: RbBaMnO4
Source: the Materials Project
Functional: GGA+U
Structure: optimized geometry

abc: 5.986 8.019 10.507
angles: 90.00 90.00 90.00
Element x y z (fractional)
O (0.750, 0.485, 0.077)
O (0.512, 0.709, 0.337)
O (0.250, 0.805, 0.069)
O (0.750, 0.695, 0.569)
O (0.250, 0.515, 0.923)
O (0.488, 0.291, 0.663)
O (0.012, 0.291, 0.663)
O (0.988, 0.209, 0.163)
O (0.512, 0.209, 0.163)
O (0.750, 0.195, 0.931)
O (0.488, 0.791, 0.837)
O (0.250, 0.305, 0.431)
O (0.750, 0.985, 0.423)
O (0.250, 0.015, 0.577)
O (0.012, 0.791, 0.837)
O (0.988, 0.709, 0.337)
Mn (0.750, 0.771, 0.415)
Mn (0.250, 0.229, 0.585)
Mn (0.250, 0.729, 0.915)
Mn (0.750, 0.271, 0.085)
Rb (0.750, 0.845, 0.082)
Rb (0.250, 0.655, 0.582)
Rb (0.250, 0.155, 0.918)
Rb (0.750, 0.345, 0.418)
Ba (0.250, 0.998, 0.308)
Ba (0.250, 0.498, 0.192)
Ba (0.750, 0.502, 0.808)
Ba (0.750, 0.002, 0.692)


Entry 3:
Compound: Ba2MnRuO6
Source: the Materials Project
Functional: GGA+U
Structure: optimized geometry

abc: 5.851 5.851 14.394
angles: 88.62 88.62 59.97
Element x y z (fractional)
Ru (0.332, 0.332, 0.657)
Ru (0.000, 0.000, 0.000)
Ru (0.668, 0.668, 0.343)
O (0.973, 0.515, 0.255)
O (0.329, 0.823, 0.412)
O (0.671, 0.177, 0.588)
O (0.833, 0.833, 0.081)
O (0.177, 0.671, 0.588)
O (0.839, 0.319, 0.079)
O (0.182, 0.182, 0.580)
O (0.161, 0.681, 0.921)
O (0.479, 0.479, 0.755)
O (0.823, 0.329, 0.412)
O (0.681, 0.161, 0.921)
O (0.818, 0.818, 0.420)
O (0.167, 0.167, 0.919)
O (0.027, 0.485, 0.745)
O (0.515, 0.973, 0.255)
O (0.521, 0.521, 0.245)
O (0.485, 0.027, 0.745)
O (0.319, 0.839, 0.079)
Mn (0.000, 0.000, 0.500)
Mn (0.334, 0.334, 0.847)
Mn (0.666, 0.666, 0.153)
Ba (0.667, 0.667, 0.908)
Ba (0.667, 0.667, 0.593)
Ba (0.333, 0.333, 0.092)
Ba (0.000, 0.000, 0.248)
Ba (0.333, 0.333, 0.407)
Ba (0.000, 0.000, 0.752)


Entry 4:
Compound: BaMn5S6O24
Source: the Materials Project
Functional: GGA+U
Structure: optimized geometry

abc: 14.883 14.883 7.716
angles: 90.00 90.00 120.00
Element x y z (fractional)
S (0.766, 0.560, 0.258)
S (0.794, 0.234, 0.258)
S (0.772, 0.869, 0.240)
S (0.560, 0.794, 0.742)
S (0.234, 0.440, 0.742)
S (0.894, 0.462, 0.738)
S (0.569, 0.106, 0.738)
S (0.106, 0.538, 0.262)
S (0.462, 0.569, 0.262)
S (0.538, 0.431, 0.738)
S (0.206, 0.766, 0.742)
S (0.903, 0.772, 0.760)
S (0.097, 0.228, 0.240)
S (0.440, 0.206, 0.258)
S (0.869, 0.097, 0.760)
S (0.131, 0.903, 0.240)
S (0.228, 0.131, 0.760)
S (0.431, 0.894, 0.262)
Mn (0.003, 0.322, 0.547)
Mn (0.322, 0.319, 0.453)
Mn (0.333, 0.667, 0.503)
Mn (0.681, 0.003, 0.453)
Mn (0.345, 0.348, 0.037)
Mn (0.652, 0.997, 0.037)
Mn (0.319, 0.997, 0.547)
Mn (0.678, 0.681, 0.547)
Mn (0.348, 0.003, 0.963)
Mn (0.997, 0.678, 0.453)
Mn (0.000, 0.000, 0.000)
Mn (0.003, 0.655, 0.037)
Mn (0.997, 0.345, 0.963)
Mn (0.655, 0.652, 0.963)
Mn (0.667, 0.333, 0.497)
O (0.108, 0.495, 0.087)
O (0.424, 0.454, 0.256)
O (0.296, 0.750, 0.707)
O (0.495, 0.387, 0.913)
O (0.704, 0.250, 0.293)
O (0.957, 0.080, 0.803)
O (0.592, 0.867, 0.596)
O (0.920, 0.877, 0.803)
O (0.619, 0.078, 0.602)
O (0.892, 0.505, 0.913)
O (0.970, 0.424, 0.744)
O (0.275, 0.408, 0.596)
O (0.212, 0.303, 0.239)
O (0.167, 0.943, 0.419)
O (0.957, 0.742, 0.886)
O (0.373, 0.584, 0.298)
O (0.408, 0.133, 0.404)
O (0.833, 0.057, 0.581)
O (0.697, 0.909, 0.239)
O (0.943, 0.777, 0.581)
O (0.057, 0.223, 0.419)
O (0.123, 0.043, 0.803)
O (0.505, 0.613, 0.087)
O (0.043, 0.920, 0.197)
O (0.246, 0.880, 0.760)
O (0.541, 0.619, 0.398)
O (0.078, 0.459, 0.398)
O (0.713, 0.556, 0.092)
O (0.909, 0.212, 0.761)
O (0.725, 0.592, 0.404)
O (0.880, 0.635, 0.240)
O (0.454, 0.030, 0.744)
O (0.843, 0.287, 0.092)
O (0.030, 0.576, 0.256)
O (0.785, 0.043, 0.886)
O (0.584, 0.212, 0.702)
O (0.545, 0.296, 0.293)
O (0.250, 0.545, 0.707)
O (0.416, 0.788, 0.298)
O (0.120, 0.365, 0.760)
O (0.742, 0.785, 0.114)
O (0.444, 0.157, 0.092)
O (0.043, 0.258, 0.114)
O (0.387, 0.892, 0.087)
O (0.455, 0.704, 0.707)
O (0.576, 0.546, 0.744)
O (0.877, 0.957, 0.197)
O (0.867, 0.275, 0.404)
O (0.258, 0.215, 0.886)
O (0.223, 0.167, 0.581)
O (0.287, 0.444, 0.908)
O (0.635, 0.754, 0.760)
O (0.303, 0.091, 0.761)
O (0.459, 0.381, 0.602)
O (0.546, 0.970, 0.256)
O (0.922, 0.541, 0.602)
O (0.627, 0.416, 0.702)
O (0.613, 0.108, 0.913)
O (0.365, 0.246, 0.240)
O (0.133, 0.725, 0.596)
O (0.212, 0.627, 0.298)
O (0.556, 0.843, 0.908)
O (0.080, 0.123, 0.197)
O (0.157, 0.713, 0.908)
O (0.215, 0.957, 0.114)
O (0.381, 0.922, 0.398)
O (0.750, 0.455, 0.293)
O (0.788, 0.697, 0.761)
O (0.777, 0.833, 0.419)
O (0.754, 0.120, 0.240)
O (0.091, 0.788, 0.239)
O (0.788, 0.373, 0.702)
Ba (0.000, 0.000, 0.500)
Ba (0.333, 0.667, 0.002)
Ba (0.667, 0.333, 0.998)


Entry 5:
Compound: Ba3MnSb2O9
Source: the Materials Project
Functional: GGA+U
Structure: optimized geometry

abc: 5.989 5.989 14.829
angles: 89.42 89.42 119.93
Element x y z (fractional)
Ba (0.997, 0.003, 0.250)
Ba (0.003, 0.997, 0.750)
Ba (0.339, 0.674, 0.412)
Ba (0.326, 0.661, 0.088)
Ba (0.661, 0.326, 0.588)
Ba (0.674, 0.339, 0.912)
O (0.632, 0.803, 0.575)
O (0.518, 0.482, 0.250)
O (0.144, 0.803, 0.586)
O (0.803, 0.632, 0.075)
O (0.146, 0.317, 0.595)
O (0.317, 0.146, 0.095)
O (0.683, 0.854, 0.905)
O (0.803, 0.144, 0.086)
O (0.481, 0.960, 0.742)
O (0.854, 0.683, 0.405)
O (0.368, 0.197, 0.425)
O (0.197, 0.368, 0.925)
O (0.856, 0.197, 0.414)
O (0.482, 0.518, 0.750)
O (0.519, 0.040, 0.258)
O (0.960, 0.481, 0.242)
O (0.197, 0.856, 0.914)
O (0.040, 0.519, 0.758)
Sb (0.678, 0.346, 0.347)
Sb (0.346, 0.678, 0.847)
Sb (0.322, 0.654, 0.653)
Sb (0.654, 0.322, 0.153)
Mn (0.000, 0.000, 0.000)
Mn (0.000, 0.000, 0.500)


Entry 6:
Compound: Ba2Mn3Sb2O2
Source: the Materials Project
Functional: GGA+U
Structure: optimized geometry

abc: 6.272 11.104 6.271
angles: 90.00 90.00 73.60
Element x y z (fractional)
Mn (0.500, 0.500, 0.250)
Mn (0.500, 0.000, 0.500)
Mn (0.000, 0.500, 0.250)
Mn (0.500, 0.500, 0.750)
Mn (0.000, 0.000, 0.000)
Mn (0.000, 0.500, 0.750)
O (0.750, 0.000, 0.250)
O (0.250, 0.000, 0.750)
O (0.750, 0.000, 0.750)
O (0.250, 0.000, 0.250)
Ba (0.418, 0.164, 0.000)
Ba (0.582, 0.836, 0.000)
Ba (0.918, 0.164, 0.500)
Ba (0.082, 0.836, 0.500)
Sb (0.168, 0.665, 0.000)
Sb (0.332, 0.335, 0.500)
Sb (0.668, 0.665, 0.500)
Sb (0.832, 0.335, 0.000)


It is found that the VASP energy values, taken in the order of the records, are -8.13; -6.14; -6.93; -6.78; -6.55; -6.12 eV/atom.